! LaYO3 PBE optimized geometry; values from VASP
&SYSTEM
  ibrav = 0, nat = 20, ntyp = 3
/
ATOMIC_SPECIES
O 16.00 O.upf
La 138.91 La.upf
Y 88.91 Y.upf
ATOMIC_POSITIONS crystal
O 0.6327 0.4373 0.7500
O 0.3089 0.8070 0.9291
La 0.5159 0.9523 0.2500
O 0.1911 0.3070 0.9291
Y 0.5000 0.5000 0.0000
Y 0.0000 0.0000 0.0000
O 0.8089 0.6930 0.0709
O 0.8089 0.6930 0.4291
O 0.3673 0.5627 0.2500
O 0.6911 0.1930 0.4291
O 0.1327 0.0627 0.2500
Y 0.5000 0.5000 0.5000
La 0.4841 0.0477 0.7500
La 0.9841 0.4523 0.2500
La 0.0159 0.5477 0.7500
O 0.6911 0.1930 0.0709
O 0.8673 0.9373 0.7500
O 0.1911 0.3070 0.5709
O 0.3089 0.8070 0.5709
Y 0.0000 0.0000 0.5000
CELL_PARAMETERS angstrom
5.9159 0.0000 0.0000
0.0000 6.1236 0.0000
0.0000 0.0000 8.6109
! * DFT formation energy: -3883.5 meV per atom
! * E: -8.7206 eV/atom
! * total moment: 0.00 μB/cell


! LaZr9O20 PBE optimized geometry; values from VASP
&SYSTEM
  ibrav = 0, nat = 30, ntyp = 3
/
ATOMIC_SPECIES
O 16.00 O.upf
Zr 91.22 Zr.upf
La 138.91 La.upf
ATOMIC_POSITIONS crystal
O 0.3723 0.5812 0.9435
O 0.0528 0.2041 0.8372
O 0.5573 0.4752 0.3544
O 0.8564 0.3280 0.4537
Zr 0.2015 0.9024 0.4030
Zr 0.6003 0.7013 0.2003
Zr 0.4006 0.8016 0.7993
O 0.7288 0.3641 0.7334
Zr 0.7981 0.5997 0.5972
O 0.1501 0.1742 0.5444
Zr 0.5994 0.1984 0.2007
O 0.9519 0.2598 0.1602
La 0.0000 0.5000 0.0000
O 0.6447 0.9258 0.0482
O 0.4427 0.5248 0.6456
O 0.3553 0.0742 0.9518
O 0.7375 0.8737 0.7495
Zr 0.3997 0.2987 0.7997
Zr 0.0000 0.0000 0.0000
O 0.0481 0.7402 0.8398
Zr 0.2019 0.4003 0.4028
O 0.2625 0.1263 0.2505
O 0.2712 0.6359 0.2666
Zr 0.7985 0.0976 0.5970
O 0.9472 0.7959 0.1628
O 0.5569 0.9798 0.3523
O 0.6277 0.4188 0.0565
O 0.4431 0.0202 0.6477
O 0.1436 0.6720 0.5463
O 0.8499 0.8258 0.4556
CELL_PARAMETERS angstrom
6.3810 0.0000 0.0000
-2.1172 7.0618 0.0000
-1.0673 -2.2540 7.8568
! * polymorph energy (0 for the lowest one): 0.671 eV per formula unit
! * DFT formation energy: -3670.1 meV per atom
! * E: -9.2395 eV/atom
! * total moment: 0.00 μB/cell


! LaZr9O20 PBE optimized geometry; values from VASP
&SYSTEM
  ibrav = 0, nat = 30, ntyp = 3
/
ATOMIC_SPECIES
O 16.00 O.upf
Zr 91.22 Zr.upf
La 138.91 La.upf
ATOMIC_POSITIONS crystal
O 0.1652 0.8833 0.9368
O 0.5846 0.4720 0.1407
O 0.1092 0.3281 0.9719
Zr 0.0048 0.7603 0.4918
Zr 0.2031 0.0442 0.1009
Zr 0.6034 0.6498 0.2983
Zr 0.8094 0.9502 0.8987
O 0.3825 0.6808 0.5321
O 0.8779 0.6739 0.0364
O 0.0487 0.4839 0.6326
O 0.2812 0.2766 0.2419
O 0.4860 0.0372 0.8539
O 0.2194 0.7277 0.2544
O 0.6478 0.3226 0.4415
O 0.0192 0.9248 0.6621
O 0.7935 0.2615 0.7448
Zr 0.7958 0.4500 0.9028
Zr 0.9960 0.2551 0.4947
O 0.6900 0.8725 0.4395
O 0.5108 0.9301 0.1740
O 0.7208 0.7261 0.7565
Zr 0.5955 0.1468 0.2990
O 0.3169 0.1226 0.5544
O 0.8106 0.1276 0.0655
O 0.9207 0.5316 0.3506
O 0.0015 0.0611 0.3404
Zr 0.3939 0.8514 0.7042
La 0.3988 0.3490 0.7005
O 0.4207 0.5496 0.8749
Zr 0.1919 0.5494 0.1039
CELL_PARAMETERS angstrom
-4.4515 -4.6497 -0.8578
0.2807 -2.1746 -7.1157
4.2544 -7.0467 0.4354
! * polymorph energy (0 for the lowest one): 0.000 eV per formula unit
! * DFT formation energy: -3692.4 meV per atom
! * E: -9.2619 eV/atom
! * total moment: 1.00 μB/cell


! LaOs2 PBE optimized geometry; values from VASP
&SYSTEM
  ibrav = 0, nat = 12, ntyp = 2
/
ATOMIC_SPECIES
La 138.91 La.upf
Os 190.23 Os.upf
ATOMIC_POSITIONS crystal
La 0.3333 0.6667 0.4345
Os 0.1697 0.3395 0.7500
La 0.6667 0.3333 0.5655
La 0.3333 0.6667 0.0655
Os 0.3395 0.1697 0.2500
Os 0.0000 0.0000 0.5000
Os 0.8303 0.6605 0.2500
La 0.6667 0.3333 0.9345
Os 0.8303 0.1697 0.2500
Os 0.6605 0.8303 0.7500
Os 0.0000 0.0000 0.0000
Os 0.1697 0.8303 0.7500
CELL_PARAMETERS angstrom
-1.3707 5.1567 0.7157
-2.9939 -3.9083 2.1781
5.1919 0.3118 7.6962
! * DFT formation energy: -64.8 meV per atom
! * E: -9.1950 eV/atom


! La4Os PBE optimized geometry; values from VASP
&SYSTEM
  ibrav = 0, nat = 10, ntyp = 2
/
ATOMIC_SPECIES
La 138.91 La.upf
Os 190.23 Os.upf
ATOMIC_POSITIONS crystal
La 0.6161 0.1516 0.6161
La 0.5984 0.1339 0.1339
La 0.1339 0.1339 0.5984
Os 0.7500 0.7500 0.7500
Os 0.0000 0.0000 0.0000
La 0.6161 0.6161 0.6161
La 0.1339 0.1339 0.1339
La 0.1516 0.6161 0.6161
La 0.6161 0.6161 0.1516
La 0.1339 0.5984 0.1339
CELL_PARAMETERS angstrom
-5.7323 -5.7323 0.0000
-5.7323 0.0000 -5.7323
0.0000 -5.7323 -5.7323
! * DFT formation energy: 257.8 meV per atom
! * E: -5.9365 eV/atom
! * total moment: 0.58 μB/cell


! LaOs2 PBE optimized geometry; values from VASP
&SYSTEM
  ibrav = 0, nat = 6, ntyp = 2
/
ATOMIC_SPECIES
Os 190.23 Os.upf
La 138.91 La.upf
ATOMIC_POSITIONS crystal
Os 0.6250 0.6250 0.1250
La 0.0000 0.0000 0.0000
Os 0.1250 0.6250 0.6250
Os 0.6250 0.6250 0.6250
La 0.2500 0.2500 0.2500
Os 0.6250 0.1250 0.6250
CELL_PARAMETERS angstrom
-1.2833 2.9944 4.4147
-0.6611 5.4269 -0.4637
-5.0036 2.2033 0.4605
! * DFT formation energy: -38.8 meV per atom
! * E: -9.1691 eV/atom